(1)
## Sr2La14Mg4Ga12O45 (PBE)

Data for crystalline Sr2La14Mg4Ga12O45 at its relaxed geometry.

Properties
E above lowest polymorph: 16.6 meV/atom
Formation energy from the elements: -3.081 eV per atom
V: 12.849 A^3/atom
DFT total energy: -7.067 eV/atom
Crystal system: triclinic

Unit cell a=5.582 b=5.628 c=44.865 alpha=59.74 beta=59.60 gamma=59.69
Positions (direct):
O: 0.783 0.692 0.527
O: 0.250 0.168 0.666
O: 0.750 0.832 0.709
La: 0.750 0.259 0.530
O: 0.206 0.301 0.223
Ga: 0.000 0.500 0.687
O: 0.219 0.307 0.848
Mg: 0.521 0.986 0.246
La: 0.740 0.282 0.029
O: 0.296 0.691 0.151
Sr: 0.235 0.748 0.223
La: 0.258 0.739 0.969
O: 0.253 0.172 0.415
La: 0.750 0.260 0.780
Mg: 0.527 0.979 0.996
La: 0.737 0.280 0.280
O: 0.782 0.692 0.652
O: 0.718 0.283 0.601
Sr: 0.240 0.746 0.097
Mg: 0.523 0.984 0.121
O: 0.212 0.297 0.097
Ga: 0.505 0.993 0.375
O: 0.219 0.295 0.348
La: 0.750 0.259 0.655
O: 0.782 0.691 0.902
O: 0.715 0.281 0.102
Ga: 0.970 0.536 0.191
Ga: 0.973 0.532 0.065
La: 0.757 0.247 0.405
O: 0.783 0.692 0.777
O: 0.734 0.263 0.351
O: 0.218 0.308 0.723
O: 0.719 0.280 0.476
Mg: 0.973 0.537 0.315
La: 0.257 0.695 0.348
O: 0.290 0.713 0.899
O: 0.284 0.716 0.774
La: 0.250 0.740 0.845
O: 0.752 0.831 0.833
O: 0.250 0.167 0.792
La: 0.252 0.740 0.469
O: 0.776 0.676 0.279
O: 0.712 0.283 0.228
O: 0.750 0.831 0.459
O: 0.750 0.862 0.204
Ga: 0.001 0.501 0.812
Ga: 0.501 0.998 0.875
O: 0.288 0.708 0.277
O: 0.718 0.283 0.726
O: 0.250 0.167 0.542
O: 0.283 0.716 0.524
O: 0.282 0.717 0.649
Ga: 0.500 0.000 0.750
O: 0.218 0.308 0.598
La: 0.755 0.262 0.904
O: 0.750 0.831 0.584
O: 0.696 0.289 0.979
O: 0.734 0.848 0.335
O: 0.756 0.856 0.080
O: 0.762 0.832 0.955
Ga: 0.998 0.498 0.939
O: 0.807 0.662 0.153
O: 0.244 0.175 0.917
O: 0.717 0.283 0.851
Ga: 0.500 0.000 0.500
O: 0.216 0.306 0.473
La: 0.250 0.741 0.595
O: 0.201 0.309 0.976
O: 0.808 0.670 0.027
O: 0.783 0.680 0.403
O: 0.294 0.692 0.024
La: 0.735 0.283 0.154
Ga: 0.999 0.496 0.438
La: 0.251 0.741 0.720
Ga: 0.500 0.000 0.625
O: 0.284 0.706 0.400
Ga: 0.001 0.500 0.562

---

(2)
## Hg2P2H6O7 (PBE)

Data for crystalline Hg2P2H6O7 at its relaxed geometry.

Properties
Formation energy from the elements: -1.304 eV per atom
V: 14.213 A^3/atom
DFT total energy: -4.929 eV/atom
Crystal system: triclinic

Unit cell a=7.478 b=7.845 c=9.274 alpha=80.46 beta=67.81 gamma=74.07
Positions (direct):
H: 0.839 0.701 0.493
O: 0.706 0.733 0.570
O: 0.226 0.216 0.201
Hg: 0.719 0.247 0.892
H: 0.670 0.483 0.429
H: 0.167 0.016 0.767
O: 0.274 0.010 0.996
H: 0.818 0.985 0.318
O: 0.007 0.711 0.952
H: 0.178 0.945 0.406
H: 0.833 0.984 0.233
O: 0.644 0.690 0.093
O: 0.294 0.267 0.430
O: 0.184 0.536 0.262
H: 0.161 0.299 0.507
O: 0.464 0.673 0.836
O: 0.816 0.464 0.738
P: 0.681 0.655 0.745
O: 0.774 0.784 0.799
O: 0.726 0.990 0.004
H: 0.182 0.015 0.682
P: 0.214 0.207 0.027
Hg: 0.209 0.588 0.742
P: 0.786 0.793 0.973
O: 0.356 0.310 0.907
O: 0.993 0.289 0.048
Hg: 0.281 0.753 0.108
O: 0.536 0.327 0.164
H: 0.330 0.517 0.571
H: 0.780 0.137 0.553
H: 0.822 0.055 0.594
P: 0.319 0.345 0.255
H: 0.220 0.863 0.447
Hg: 0.791 0.412 0.258

---

(3)
## Np3Sn (PBE)

Data for crystalline Np3Sn at its relaxed geometry.

Properties
Formation energy from the elements: 0.229 eV per atom
V: 24.218 A^3/atom
DFT total energy: -10.484 eV/atom
Crystal system: cubic

Unit cell a=4.593 b=4.593 c=4.593 alpha=90.00 beta=90.00 gamma=90.00
Positions (direct):
Sn: 0.000 0.000 0.000
Np: 0.500 0.000 0.500
Np: 0.000 0.500 0.500
Np: 0.500 0.500 0.000

---

(4)
## Dy2Bi2O7 (PBE)

Data for crystalline Dy2Bi2O7 at its relaxed geometry.

Properties
Formation energy from the elements: -2.539 eV per atom
V: 14.806 A^3/atom
DFT total energy: -6.796 eV/atom
Crystal system: cubic

Unit cell a=7.723 b=7.723 c=7.723 alpha=60.00 beta=60.00 gamma=60.00
Positions (direct):
Dy: 0.625 0.125 0.125
O: 0.522 0.978 0.978
Dy: 0.125 0.125 0.125
O: 0.250 0.250 0.250
O: 0.000 0.000 0.000
O: 0.978 0.522 0.522
O: 0.272 0.728 0.272
O: 0.522 0.522 0.978
O: 0.728 0.272 0.272
Bi: 0.625 0.125 0.625
O: 0.728 0.272 0.728
Dy: 0.125 0.625 0.125
Bi: 0.625 0.625 0.125
O: 0.522 0.978 0.522
Bi: 0.625 0.625 0.625
Dy: 0.125 0.125 0.625
O: 0.978 0.522 0.978
O: 0.272 0.728 0.728
O: 0.728 0.728 0.272
Bi: 0.125 0.625 0.625
O: 0.978 0.978 0.522
O: 0.272 0.272 0.728

---

(5)
## MgSn2O4 (PBE)

Data for crystalline MgSn2O4 at its relaxed geometry.

Properties
E above lowest polymorph: 52.8 meV/atom
Formation energy from the elements: -2.092 eV per atom
V: 17.194 A^3/atom
DFT total energy: -5.901 eV/atom
Crystal system: orthorhombic

Unit cell a=6.151 b=6.988 c=11.199 alpha=90.00 beta=90.00 gamma=90.00
Positions (direct):
Mg: 0.500 0.743 0.500
Mg: 0.000 0.572 0.500
Mg: 0.000 0.257 0.000
O: 0.746 0.278 0.881
Sn: 0.250 0.500 0.750
O: 0.500 0.335 0.329
O: 0.000 0.665 0.829
O: 0.000 0.389 0.353
Sn: 0.750 0.500 0.750
Sn: 0.000 0.902 0.298
O: 0.000 0.665 0.171
O: 0.500 0.611 0.853
O: 0.000 0.389 0.647
O: 0.746 0.278 0.119
O: 0.754 0.722 0.381
O: 0.246 0.722 0.619
O: 0.254 0.278 0.881
O: 0.500 0.611 0.147
O: 0.754 0.722 0.619
O: 0.500 0.335 0.671
Sn: 0.500 0.098 0.798
Sn: 0.500 0.098 0.202
Sn: 0.250 0.500 0.250
Sn: 0.750 0.500 0.250
O: 0.246 0.722 0.381
O: 0.254 0.278 0.119
Mg: 0.500 0.428 0.000
Sn: 0.000 0.902 0.702

---

(6)
## Dy5Pb4 (PBE)

Data for crystalline Dy5Pb4 at its relaxed geometry.

Properties
Formation energy from the elements: -0.528 eV per atom
V: 29.642 A^3/atom
DFT total energy: -4.738 eV/atom
Crystal system: orthorhombic

Unit cell a=8.207 b=8.277 c=15.709 alpha=90.00 beta=90.00 gamma=90.00
Positions (direct):
Pb: 0.281 0.032 0.042
Dy: 0.464 0.677 0.100
Dy: 0.536 0.323 0.900
Pb: 0.719 0.968 0.542
Pb: 0.219 0.532 0.542
Pb: 0.719 0.968 0.958
Dy: 0.964 0.823 0.100
Dy: 0.624 0.159 0.121
Dy: 0.124 0.341 0.379
Dy: 0.876 0.659 0.621
Dy: 0.208 0.504 0.750
Dy: 0.624 0.159 0.379
Pb: 0.429 0.374 0.250
Pb: 0.281 0.032 0.458
Pb: 0.781 0.468 0.042
Pb: 0.781 0.468 0.458
Dy: 0.124 0.341 0.121
Dy: 0.964 0.823 0.400
Dy: 0.536 0.323 0.600
Dy: 0.464 0.677 0.400
Pb: 0.846 0.347 0.750
Pb: 0.154 0.653 0.250
Dy: 0.292 0.004 0.250
Pb: 0.071 0.874 0.750
Pb: 0.571 0.626 0.750
Dy: 0.792 0.496 0.250
Dy: 0.036 0.177 0.600
Pb: 0.929 0.126 0.250
Dy: 0.708 0.996 0.750
Pb: 0.346 0.153 0.750
Pb: 0.654 0.847 0.250
Dy: 0.376 0.841 0.879
Pb: 0.219 0.532 0.958
Dy: 0.036 0.177 0.900
Dy: 0.876 0.659 0.879
Dy: 0.376 0.841 0.621